1.
The following is a DFT calculation (PBE with a Hubbard U) of a relaxed BaLa3Mn4O12 crystal.

extended XYZ file:
```
20
Lattice="2.814 1.633 4.544 -5.618 -3.244 4.531 2.816 -4.887 -0.006" Properties=species:S:1:pos:R:3 pbc="T T T"
O 1.183 -4.344 5.754
Mn -0.004 -3.256 4.542
La 0.009 -6.503 5.664
O 1.293 -1.123 1.062
O 2.677 0.011 3.392
Ba 0.011 -0.010 3.405
O -1.243 -1.075 7.942
O -0.316 -4.903 3.434
O -1.342 -2.310 3.414
Mn -2.795 -1.605 9.065
O 4.039 -3.741 5.670
O -1.571 -3.759 5.669
La -0.009 -3.216 7.939
O 1.499 -2.590 3.402
O 0.330 -1.678 5.742
O -2.444 -6.439 5.577
Mn -0.003 -6.515 2.269
O -1.211 -5.418 7.899
Mn -2.792 -4.864 6.792
La 2.817 -1.622 5.673
```

Output
E above lowest polymorph = 0.0 meV per atom
ΔH_f (0 K) = -2.864 eV/atom
Total moment = 15.0 μB per formula unit


2.
The following is a DFT calculation (PBE with a Hubbard U) of a relaxed BaLa2Mn3O9 crystal.

extended XYZ file:
```
30
Lattice="-5.450 -1.409 0.042 3.665 -2.838 3.194 -2.183 8.748 10.276" Properties=species:S:1:pos:R:3 pbc="T T T"
La -0.644 2.730 8.124
O -5.051 3.641 6.317
La 0.448 -1.644 2.986
La -4.416 6.145 10.525
O -1.615 -0.127 1.161
Mn -2.776 -0.427 2.806
O -3.683 1.924 8.069
Mn -0.101 0.554 5.568
La -3.324 1.771 5.387
O -1.955 -2.285 2.926
O -3.385 1.453 2.591
O -2.567 4.349 9.392
O -0.285 2.577 5.443
O -2.278 3.916 6.672
O -2.353 4.628 12.351
O 1.363 0.709 4.233
Mn 0.000 0.000 0.000
O 0.200 5.730 11.955
Mn -1.192 4.928 10.706
O -1.401 0.152 4.119
O -4.249 5.886 7.727
O 0.119 5.201 9.237
Ba -1.637 6.561 7.707
O 1.083 0.860 7.195
Ba -0.546 2.187 2.569
O -2.013 6.786 10.585
Mn -3.867 3.947 7.943
O -1.690 0.586 6.840
O -4.168 -1.229 1.557
Mn -1.092 4.374 5.138
```

Output
ΔH_f (0 K) = -2.821 eV/atom
Total moment = 11.0 μB per formula unit


3.
The following is a DFT calculation (PBE with a Hubbard U) of a relaxed BaLa3Mn4O12 crystal.

extended XYZ file:
```
20
Lattice="-2.303 -5.985 2.427 0.168 0.222 6.850 -3.916 5.112 2.275" Properties=species:S:1:pos:R:3 pbc="T T T"
O -4.593 -0.552 7.068
La -1.874 2.667 4.562
O -2.789 3.943 6.791
O -2.031 -1.647 6.976
Mn -4.899 2.342 10.337
Mn -6.135 -0.762 8.126
O -3.537 -1.844 4.715
La -2.941 -0.214 9.201
O -1.588 -4.287 6.905
O -4.020 0.996 4.576
Mn -3.026 -0.326 5.776
O -1.458 -0.099 4.484
Mn -4.261 -3.429 3.565
Ba 0.168 0.222 6.850
La -1.067 -2.881 4.638
O -2.514 1.193 6.837
O -2.719 -3.134 2.410
O -3.262 -4.594 4.760
O -3.332 2.484 9.142
O -4.463 3.637 4.647
```

Output
E above lowest polymorph = 26.6 meV per atom
ΔH_f (0 K) = -2.837 eV/atom
Total moment = 15.0 μB per formula unit


4.
The following is a DFT calculation (PBE with a Hubbard U) of a relaxed BaLa3Mn4O12 crystal.

extended XYZ file:
```
20
Lattice="2.823 1.613 4.547 -5.608 -3.226 4.524 2.845 -4.899 0.008" Properties=species:S:1:pos:R:3 pbc="T T T"
O 1.297 -5.305 1.090
Ba 0.001 -0.011 3.397
O -2.371 -6.495 5.545
O 2.627 0.060 3.444
Mn 0.004 -0.010 6.818
Mn -2.779 -4.851 6.798
O -1.410 -2.249 3.372
O -1.619 -3.789 5.708
La 2.841 -1.635 5.665
O -4.061 -2.770 3.449
O -0.298 -4.814 3.472
O 0.374 -1.793 5.712
La -2.793 -1.626 5.683
O -1.068 -5.426 7.931
O 1.289 -4.436 5.810
La -2.776 -4.837 3.412
Mn 0.035 -3.267 4.546
O 1.194 -1.118 1.044
Mn 0.076 -6.502 9.062
O 1.580 -2.578 3.353
```

Output
E above lowest polymorph = 11.8 meV per atom
ΔH_f (0 K) = -2.852 eV/atom
Total moment = 15.0 μB per formula unit


5.
The following is a DFT calculation (PBE with a Hubbard U) of a relaxed Ba2LaMn2O7 crystal.

extended XYZ file:
```
24
Lattice="-4.013 -4.013 0.000 2.006 -2.006 10.421 -4.013 4.013 0.000" Properties=species:S:1:pos:R:3 pbc="T T T"
O -2.007 0.081 8.628
Mn -2.007 -2.006 8.458
Ba -2.007 2.007 3.777
Ba -2.007 -2.006 3.775
O 0.081 -2.007 8.628
O -2.088 0.001 1.793
Ba 0.000 0.000 6.645
O -2.007 -2.006 6.534
O -2.007 -2.006 10.378
Mn -2.007 2.007 8.501
O -5.938 -0.001 1.793
O -4.013 0.000 3.860
La -4.013 0.000 10.421
O -4.013 -1.925 1.793
O -4.094 -2.006 8.628
La -6.019 -2.006 0.000
O 0.000 0.000 3.886
O -2.007 2.007 6.561
Ba -4.013 0.000 6.643
O -4.013 -4.013 0.043
O -4.012 1.925 1.793
Mn -4.013 -4.013 1.963
Mn -4.013 0.000 1.920
O -2.006 -4.094 8.628
```

Output
E above lowest polymorph = 23.7 meV per atom
ΔH_f (0 K) = -2.759 eV/atom
Total moment = 1.0 μB per formula unit


6.
The following is a DFT calculation (PBE with a Hubbard U) of a relaxed Ba2La2Mn4O11 crystal.

extended XYZ file:
```
19
Lattice="0.000 0.000 3.915 8.280 0.000 0.000 -4.140 7.876 0.000" Properties=species:S:1:pos:R:3 pbc="T T T"
Ba 2.070 3.938 1.957
O 4.140 1.464 1.957
Ba -2.070 3.938 1.957
O 0.000 3.896 0.000
O -1.917 6.213 0.000
O 4.140 3.980 0.000
O 0.000 1.831 1.957
Mn 0.000 1.968 0.000
O 2.223 1.663 3.915
Mn 4.140 5.908 3.915
O 1.916 6.213 0.000
La 1.919 0.000 1.957
Mn 4.140 1.886 3.915
Mn 0.000 5.991 0.000
O 0.000 6.412 1.958
O 4.140 7.876 3.915
La 6.361 0.000 1.957
O 4.140 6.045 1.958
O 6.056 1.663 3.915
```

Output
ΔH_f (0 K) = -2.790 eV/atom
Total moment = 16.0 μB per formula unit


7.
The following is a DFT calculation (PBE with a Hubbard U) of a relaxed BaLa3Mn4O12 crystal.

extended XYZ file:
```
40
Lattice="5.592 -5.632 0.000 5.592 5.632 0.000 -0.081 0.000 7.936" Properties=species:S:1:pos:R:3 pbc="T T T"
O 8.327 -2.671 5.952
La 5.548 -2.839 2.017
O 6.982 1.335 7.834
O 5.649 0.320 1.991
La 5.508 -2.793 5.985
O 1.435 1.282 7.656
O 9.668 -1.282 0.280
Mn 0.000 0.000 0.000
La 8.367 -0.047 1.984
O 6.786 4.030 0.170
Ba 8.327 0.000 5.952
O 4.121 -1.335 0.102
O 4.035 1.282 4.248
O 8.367 2.511 1.984
O 6.796 -4.071 4.183
O 5.609 5.312 5.959
O 4.357 -1.602 3.798
La 5.595 2.793 1.951
O 5.494 -5.312 1.977
Mn -0.040 0.000 3.968
Mn 2.756 2.816 3.968
O 1.431 -1.335 3.866
O 7.067 -1.282 3.688
O 5.454 -0.320 5.945
O 4.317 -4.030 7.766
O 4.307 4.071 3.753
Mn 2.756 -2.816 3.968
Mn 2.796 -2.816 0.000
O 4.267 1.560 7.721
O 2.776 2.671 1.984
O 2.735 -2.511 5.952
O 9.672 1.335 4.070
La 5.555 2.839 5.919
O 6.745 1.602 4.138
La 2.735 0.047 5.952
O 6.836 -1.560 0.215
Mn 2.796 2.816 0.000
Ba 2.776 0.000 1.984
Mn 5.551 0.000 3.968
Mn 5.592 0.000 0.000
```

Output
E above lowest polymorph = 1.5 meV per atom
ΔH_f (0 K) = -2.862 eV/atom
Total moment = 15.0 μB per formula unit


8.
The following is a DFT calculation (PBE with a Hubbard U) of a relaxed Ba2LaMn2O7 crystal.

extended XYZ file:
```
24
Lattice="3.757 -2.384 -3.526 7.629 6.839 3.504 0.356 -4.510 3.429" Properties=species:S:1:pos:R:3 pbc="T T T"
Ba 7.034 -0.524 3.279
O 8.843 -1.757 1.470
O 9.223 3.153 0.751
O 2.898 1.702 1.937
Mn 6.539 1.480 5.967
O 7.457 2.050 4.361
Ba 8.734 0.538 -0.199
Mn 8.217 2.529 2.474
O 4.469 -4.446 0.825
O 9.407 0.813 2.531
La 1.878 -1.192 -1.763
O 4.284 -2.106 -0.954
La 0.178 -2.255 1.715
Mn 1.445 0.849 0.966
O 4.965 -1.739 1.896
O 2.056 -3.447 -0.048
O 2.518 -3.208 2.656
O 0.000 0.000 0.000
O 2.334 -0.869 0.876
O 6.776 1.684 1.511
O 7.273 4.391 2.582
Ba 3.007 -0.594 3.606
Mn 3.525 -2.585 0.933
Ba 4.707 0.469 0.128
```

Output
E above lowest polymorph = 8.3 meV per atom
ΔH_f (0 K) = -2.774 eV/atom
Total moment = 7.0 μB per formula unit


9.
The following is a DFT calculation (PBE with a Hubbard U) of a relaxed Ba2LaMn2O7 crystal.

extended XYZ file:
```
12
Lattice="7.909 1.292 7.341 9.772 3.929 2.682 -10.050 -0.203 -4.132" Properties=species:S:1:pos:R:3 pbc="T T T"
O 6.243 2.704 5.750
Ba 5.634 1.663 3.194
O 1.388 2.314 0.141
O 3.293 0.972 1.867
O 14.388 4.248 8.156
O 0.457 0.995 2.470
Mn 1.649 0.487 0.935
La 8.841 2.610 5.012
Mn 16.032 4.733 9.089
O 7.174 4.022 3.421
O 0.000 0.000 0.000
Ba 12.047 3.557 6.830
```

Output
E above lowest polymorph = 0.0 meV per atom
ΔH_f (0 K) = -2.782 eV/atom
Total moment = 7.0 μB per formula unit


10.
The following is a DFT calculation (PBE with a Hubbard U) of a relaxed BaLa3Mn4O10 crystal.

extended XYZ file:
```
36
Lattice="2.824 8.728 0.000 -2.824 8.728 0.000 0.000 3.812 10.926" Properties=species:S:1:pos:R:3 pbc="T T T"
O 0.462 5.605 3.580
O 1.456 10.139 4.088
O 0.337 12.761 4.864
Mn -0.221 4.985 1.645
O 1.428 10.790 7.015
O 0.126 16.407 3.932
Ba -0.021 11.478 2.064
O -0.019 4.860 6.945
Mn -0.001 18.359 2.759
O 0.544 14.025 1.884
O 1.470 8.987 1.489
Mn -0.205 14.428 3.797
O -1.470 10.893 6.952
La 0.066 9.912 8.939
Mn 0.205 16.334 9.260
O -0.254 8.371 5.774
O -1.428 8.884 1.552
Mn 0.221 6.891 7.108
La 0.124 5.614 10.421
O -1.456 12.045 9.551
Mn 0.012 8.739 0.021
La -0.067 15.741 0.482
O -0.544 15.931 7.347
Ba 0.021 13.384 7.527
La 0.067 17.648 5.945
O -1.518 10.356 4.051
O -0.337 14.667 10.327
La -0.124 3.708 4.958
O 1.518 12.262 9.514
O 0.254 6.465 0.311
Mn 0.001 20.265 8.222
O 0.019 2.954 1.482
O -0.462 7.511 9.043
La -0.066 8.006 3.476
O -0.126 18.313 9.394
Mn -0.012 10.645 5.483
```

Output
ΔH_f (0 K) = -2.866 eV/atom
Total moment = 19.0 μB per formula unit


11.
The following is a DFT calculation (PBE with a Hubbard U) of a relaxed BaLa3Mn4O12 crystal.

extended XYZ file:
```
20
Lattice="-1.173 -0.646 6.706 -0.440 6.205 2.840 -5.132 3.474 -2.890" Properties=species:S:1:pos:R:3 pbc="T T T"
O -3.269 6.231 2.347
Mn -3.372 4.517 3.328
O -5.547 4.905 -0.435
O -1.198 4.129 7.090
O -1.835 3.740 2.361
O -2.192 0.414 4.238
O -4.138 7.190 -0.037
Ba -1.173 -0.646 6.706
La -3.153 1.414 1.908
O -3.476 2.803 4.308
Mn -3.739 1.091 5.261
O -4.553 8.620 2.418
O -4.909 5.293 4.295
Mn -0.220 3.103 1.420
La -5.938 6.254 1.882
O -4.495 3.864 1.840
O -2.607 1.844 6.693
La -2.786 4.840 -0.025
Mn -0.587 -0.323 3.353
O -2.250 5.170 4.816
```

Output
E above lowest polymorph = 15.7 meV per atom
ΔH_f (0 K) = -2.848 eV/atom


12.
The following is a DFT calculation (PBE with a Hubbard U) of a relaxed Ba2LaMn2O7 crystal.

extended XYZ file:
```
24
Lattice="-3.479 1.106 1.789 5.612 -3.645 8.545 3.381 6.680 2.444" Properties=species:S:1:pos:R:3 pbc="T T T"
O 3.058 4.191 3.353
O 2.818 1.567 4.510
O 4.509 4.907 5.732
O 2.166 6.410 4.865
Ba 0.205 0.494 4.711
O 2.696 2.574 8.268
O 5.040 1.071 9.135
Mn 2.254 2.453 2.866
La 6.408 1.918 11.272
Mn 1.570 -1.653 8.691
O 1.006 -0.766 7.046
Ba 5.309 3.647 8.067
O 4.148 3.292 10.647
O 2.457 -0.050 9.425
O 5.612 -3.645 8.545
O 0.475 3.070 3.643
Ba 3.619 0.307 6.845
O 1.366 0.849 2.131
Mn 3.260 1.688 9.912
O 1.691 3.340 1.222
Mn 3.945 5.794 4.087
Ba 1.896 3.834 5.933
O 3.349 -2.269 7.913
La -0.894 2.223 1.506
```

Output
E above lowest polymorph = 3.8 meV per atom
ΔH_f (0 K) = -2.778 eV/atom
Total moment = 7.0 μB per formula unit